{
  "formula": "Fe3CoNi2P6O24",
  "functional": "GGA+U",
  "state": "optimized geometry",
  "e_form_mev_per_atom": -2146,
  "total_energy_ev_per_atom": -6.7389,
  "cell": [[4.282, 2.472, 6.832], [-4.282, 2.472, 6.832], [0.000, -4.944, 6.832]],
  "species": ["Fe", "Fe", "Fe", "Co", "Ni", "Ni", "P", "P", "P", "P", "P", "P", "O", "O", "O", "O", "O", "O", "O", "O", "O", "O", "O", "O", "O", "O", "O", "O", "O", "O", "O", "O", "O", "O", "O", "O"],
  "frac_coords": [[0.000, 0.000, 0.000], [0.213, 0.213, 0.213], [0.500, 0.500, 0.500], [0.715, 0.715, 0.715], [0.358, 0.358, 0.358], [0.857, 0.857, 0.857], [0.104, 0.808, 0.403], [0.316, 0.608, 0.899], [0.403, 0.104, 0.808], [0.608, 0.899, 0.316], [0.808, 0.403, 0.104], [0.899, 0.316, 0.608], [0.035, 0.851, 0.247], [0.100, 0.304, 0.450], [0.117, 0.766, 0.914], [0.169, 0.966, 0.369], [0.247, 0.035, 0.851], [0.262, 0.610, 0.421], [0.304, 0.450, 0.100], [0.357, 0.537, 0.745], [0.369, 0.169, 0.966], [0.421, 0.262, 0.610], [0.450, 0.100, 0.304], [0.476, 0.677, 0.862], [0.537, 0.745, 0.357], [0.605, 0.939, 0.796], [0.610, 0.421, 0.262], [0.677, 0.862, 0.476], [0.745, 0.357, 0.537], [0.766, 0.914, 0.117], [0.796, 0.605, 0.939], [0.851, 0.247, 0.035], [0.862, 0.476, 0.677], [0.914, 0.117, 0.766], [0.939, 0.796, 0.605], [0.966, 0.369, 0.169]]
}